(1)
The following is a DFT calculation (PBE) of crystalline Na7Zn3SnP5SO24 at its relaxed geometry.

Lattice parameters (Å, degrees): 9.0410 9.0200 22.0406 89.34 90.40 119.96
Sites, in units of the cell vectors:
Na 0.6249 0.9985 0.2512
Na 0.3671 0.3612 0.2529
Na 0.0076 0.6394 0.2501
Na 0.6457 0.6349 0.7460
Na 0.9911 0.3555 0.7468
Na 0.2952 0.3393 0.5875
Na 0.0306 0.6999 0.5877
Na 0.6749 0.9623 0.5849
Na 0.2937 0.9590 0.0826
Na 0.6646 0.7030 0.0799
Na 0.0381 0.3344 0.0801
Na 0.9737 0.6791 0.9098
Na 0.3224 0.2941 0.9096
Na 0.3234 0.0207 0.4109
Na 0.6984 0.6767 0.4160
Na 0.9941 0.0131 0.4978
Na 0.9875 0.0003 0.9948
Na 0.6535 0.3071 0.8263
Na 0.6713 0.3266 0.3322
Na 0.3324 0.6721 0.1638
Na 0.3340 0.6710 0.6657
Zn 0.0099 0.0098 0.3532
Zn 0.9966 0.0018 0.8459
Zn 0.9939 0.0019 0.6608
Zn 0.0082 0.9982 0.1482
Zn 0.6690 0.3363 0.6866
Zn 0.6568 0.3230 0.1765
Zn 0.3361 0.6683 0.0137
Zn 0.3300 0.6558 0.5096
Zn 0.3302 0.6726 0.3281
Sn 0.6674 0.3293 0.9821
Sn 0.6761 0.3369 0.4819
Sn 0.3354 0.6733 0.8167
P 0.2983 0.9987 0.2502
P 0.2997 0.2996 0.7516
P 0.0042 0.7058 0.7507
P 0.7000 0.9994 0.7491
P 0.9650 0.3330 0.5861
P 0.6664 0.6308 0.5838
P 0.9604 0.6271 0.0855
P 0.6686 0.0339 0.0866
P 0.3693 0.3350 0.0844
P 0.6319 0.6674 0.9193
P 0.0356 0.3696 0.9190
P 0.3343 0.9642 0.9200
P 0.6336 0.9671 0.4174
P 0.3348 0.3674 0.4173
P 0.0344 0.6665 0.4167
S 0.7029 0.7033 0.2503
S 0.0001 0.2956 0.2490
S 0.3720 0.0391 0.5829
O 0.2135 0.0253 0.3065
O 0.8053 0.7873 0.3050
O 0.9740 0.1839 0.3017
O 0.2165 0.1987 0.8097
O 0.9821 0.7892 0.8077
O 0.8165 0.0278 0.8034
O 0.7669 0.9598 0.6901
O 0.1891 0.2236 0.6940
O 0.0283 0.8082 0.6915
O 0.7834 0.8076 0.1949
O 0.0198 0.2184 0.1924
O 0.1894 0.9719 0.1923
O 0.8817 0.3611 0.6418
O 0.4844 0.1268 0.6342
O 0.6370 0.5142 0.6388
O 0.8759 0.5166 0.1422
O 0.6387 0.1104 0.1441
O 0.4782 0.3646 0.1416
O 0.4557 0.3030 0.0275
O 0.8465 0.5431 0.0270
O 0.7045 0.1583 0.0308
O 0.4488 0.1425 0.5246
O 0.6924 0.5452 0.5247
O 0.8427 0.2938 0.5291
O 0.5498 0.6843 0.9769
O 0.1410 0.4528 0.9761
O 0.3112 0.8609 0.9783
O 0.5486 0.8582 0.4745
O 0.3177 0.4465 0.4758
O 0.1437 0.6916 0.4735
O 0.1082 0.6389 0.3580
O 0.5232 0.8931 0.3595
O 0.3680 0.4814 0.3601
O 0.1182 0.4894 0.8616
O 0.3649 0.8803 0.8637
O 0.5127 0.6309 0.8623
O 0.0096 0.8246 0.4130
O 0.8105 0.9834 0.4118
O 0.1829 0.1842 0.4134
O 0.0196 0.1940 0.9124
O 0.1756 0.9849 0.9134
O 0.8131 0.8179 0.9125
O 0.9852 0.1719 0.5882
O 0.2024 0.0254 0.5860
O 0.8320 0.8071 0.5851
O 0.9729 0.8048 0.0860
O 0.8322 0.0190 0.0887
O 0.1913 0.1710 0.0859
O 0.6796 0.1583 0.7442
O 0.4830 0.3317 0.7470
O 0.8445 0.5234 0.7483
O 0.6899 0.5313 0.2477
O 0.8468 0.3183 0.2470
O 0.4798 0.1636 0.2470
O 0.6404 0.4942 0.9205
O 0.8583 0.3646 0.9204
O 0.4977 0.1493 0.9208
O 0.6413 0.1468 0.4215
O 0.5052 0.3524 0.4203
O 0.8487 0.5040 0.4198
O 0.3526 0.4967 0.0786
O 0.1383 0.6438 0.0807
O 0.5059 0.8575 0.0796
O 0.3564 0.8679 0.5787
O 0.5052 0.6495 0.5787
O 0.1402 0.4992 0.5784
O 0.3167 0.8349 0.2541
O 0.5281 0.6823 0.2529
O 0.1587 0.4670 0.2536
O 0.3122 0.4846 0.7551
O 0.1658 0.6805 0.7540
O 0.5214 0.8280 0.7556



(2)
The following is a DFT calculation (PBE) of crystalline Na4Zn3SnP2S4O24 at its relaxed geometry.

Lattice parameters (Å, degrees): 8.8838 8.8588 22.6141 90.52 89.99 120.09
Sites, in units of the cell vectors:
Na 0.6328 0.9979 0.2528
Na 0.3647 0.3648 0.2504
Na 0.3044 0.3375 0.5888
Na 0.6676 0.9600 0.5836
Na 0.9738 0.6763 0.9135
Na 0.3253 0.2974 0.9116
Na 0.9904 0.9858 0.4976
Na 0.9925 0.0007 0.9978
Na 0.6614 0.3257 0.8266
Na 0.6751 0.3368 0.3348
Na 0.3250 0.6662 0.1627
Na 0.3300 0.6624 0.6684
Zn 0.9899 0.9956 0.3542
Zn 0.0009 0.0077 0.8484
Zn 0.9984 0.9920 0.6567
Zn 0.9997 0.9971 0.1482
Zn 0.6573 0.3439 0.6883
Zn 0.6743 0.3400 0.1801
Zn 0.3361 0.6692 0.0126
Zn 0.3437 0.6736 0.5130
Zn 0.3319 0.6757 0.3241
Sn 0.6671 0.3283 0.9820
Sn 0.6702 0.3366 0.4817
Sn 0.3346 0.6618 0.8157
P 0.2932 0.2914 0.7500
P 0.6695 0.6282 0.5842
P 0.6296 0.6729 0.9193
P 0.0416 0.3725 0.9187
P 0.3324 0.9554 0.9181
P 0.6309 0.9629 0.4170
S 0.2889 0.9974 0.2498
S 0.7091 0.7062 0.2495
S 0.0014 0.2943 0.2499
S 0.0008 0.7051 0.7511
S 0.7054 0.0020 0.7496
S 0.9611 0.3373 0.5848
S 0.3727 0.0386 0.5840
S 0.9633 0.6291 0.0846
S 0.6662 0.0366 0.0856
S 0.3705 0.3336 0.0851
S 0.3313 0.3704 0.4163
S 0.0421 0.6682 0.4171
O 0.2120 0.0311 0.3027
O 0.8144 0.7846 0.3029
O 0.9690 0.1838 0.3024
O 0.2123 0.1892 0.8068
O 0.9761 0.7822 0.8058
O 0.8088 0.0229 0.8026
O 0.7754 0.9679 0.6943
O 0.1852 0.2162 0.6923
O 0.0306 0.8107 0.6979
O 0.7856 0.8163 0.1967
O 0.0331 0.2157 0.1963
O 0.1855 0.9728 0.1959
O 0.8772 0.3608 0.6363
O 0.4880 0.1194 0.6351
O 0.6312 0.5056 0.6357
O 0.8777 0.5181 0.1359
O 0.6407 0.1192 0.1393
O 0.4791 0.3586 0.1383
O 0.4516 0.3030 0.0296
O 0.8529 0.5499 0.0282
O 0.6979 0.1500 0.0314
O 0.4506 0.1517 0.5290
O 0.7007 0.5472 0.5257
O 0.8475 0.2977 0.5293
O 0.5481 0.6973 0.9743
O 0.1541 0.4537 0.9733
O 0.2996 0.8451 0.9726
O 0.5497 0.8593 0.4734
O 0.3071 0.4492 0.4707
O 0.1434 0.6891 0.4710
O 0.1126 0.6324 0.3631
O 0.5228 0.8897 0.3595
O 0.3617 0.4757 0.3622
O 0.1149 0.4934 0.8630
O 0.3697 0.8791 0.8612
O 0.5091 0.6234 0.8631
O 0.0224 0.8231 0.4113
O 0.8133 0.9852 0.4115
O 0.1790 0.1942 0.4102
O 0.0215 0.1923 0.9105
O 0.1737 0.9804 0.9111
O 0.8143 0.8238 0.9103
O 0.9782 0.1775 0.5874
O 0.2014 0.0277 0.5884
O 0.8294 0.8143 0.5890
O 0.9748 0.8012 0.0890
O 0.8258 0.0244 0.0895
O 0.1985 0.1734 0.0888
O 0.6865 0.1571 0.7437
O 0.4759 0.3133 0.7460
O 0.8487 0.5282 0.7450
O 0.6826 0.5255 0.2433
O 0.8407 0.3087 0.2434
O 0.4695 0.1587 0.2446
O 0.6428 0.4973 0.9238
O 0.8588 0.3637 0.9235
O 0.4977 0.1459 0.9229
O 0.6456 0.1510 0.4225
O 0.4957 0.3566 0.4213
O 0.8608 0.5050 0.4212
O 0.3575 0.4914 0.0789
O 0.1341 0.6430 0.0782
O 0.5082 0.8656 0.0786
O 0.3562 0.8647 0.5759
O 0.5012 0.6429 0.5771
O 0.1362 0.4916 0.5763
O 0.3147 0.8436 0.2547
O 0.5295 0.6857 0.2548
O 0.1613 0.4698 0.2568
O 0.3097 0.4805 0.7542
O 0.1657 0.6921 0.7554
O 0.5250 0.8383 0.7546



(3)
The following is a DFT calculation (PBE) of crystalline Na3Zn2Sn2P3S3O24 at its relaxed geometry.

Lattice parameters (Å, degrees): 8.7929 8.7926 22.7477 90.23 89.56 120.01
Sites, in units of the cell vectors:
Na 0.6605 0.6880 0.0812
Na 0.3329 0.2967 0.9171
Na 0.3323 0.0357 0.4172
Na 0.9942 0.0001 0.4987
Na 0.0044 0.9970 0.9980
Na 0.6790 0.3340 0.8332
Na 0.6789 0.3440 0.3328
Na 0.3151 0.6582 0.1642
Na 0.3345 0.6745 0.6636
Zn 0.9951 0.0018 0.3427
Zn 0.9930 0.9930 0.8423
Zn 0.6728 0.3403 0.9878
Zn 0.6645 0.3323 0.4870
Zn 0.3134 0.6560 0.0206
Zn 0.3345 0.6759 0.5203
Sn 0.0070 0.0009 0.6517
Sn 0.0116 0.0040 0.1522
Sn 0.6614 0.3271 0.6856
Sn 0.6679 0.3373 0.1859
Sn 0.3324 0.6626 0.3130
Sn 0.3332 0.6706 0.8126
P 0.2986 0.0014 0.2534
P 0.7077 0.7079 0.2506
P 0.9971 0.2925 0.2511
P 0.2946 0.2953 0.7530
P 0.9968 0.7024 0.7508
P 0.7096 0.0011 0.7506
P 0.3702 0.0375 0.5813
P 0.9617 0.6285 0.0835
P 0.3707 0.3305 0.0810
S 0.9609 0.3319 0.5829
S 0.6681 0.6286 0.5831
S 0.6683 0.0404 0.0830
S 0.6288 0.6706 0.9182
S 0.0367 0.3716 0.9169
S 0.3346 0.9602 0.9181
S 0.6294 0.9590 0.4176
S 0.3334 0.3757 0.4186
S 0.0367 0.6633 0.4180
O 0.2251 0.0321 0.3101
O 0.8178 0.7876 0.3045
O 0.9677 0.1871 0.3063
O 0.2215 0.1918 0.8096
O 0.9647 0.7776 0.8061
O 0.8156 0.0328 0.8056
O 0.7870 0.9675 0.6932
O 0.1818 0.2167 0.6968
O 0.0332 0.8134 0.6939
O 0.7818 0.8138 0.1918
O 0.0315 0.2161 0.1938
O 0.1854 0.9651 0.1973
O 0.8817 0.3611 0.6376
O 0.4846 0.1258 0.6369
O 0.6447 0.5234 0.6379
O 0.8794 0.5157 0.1398
O 0.6412 0.1189 0.1377
O 0.4898 0.3625 0.1359
O 0.4440 0.2966 0.0242
O 0.8436 0.5539 0.0297
O 0.6986 0.1473 0.0305
O 0.4450 0.1449 0.5247
O 0.7013 0.5519 0.5306
O 0.8534 0.3032 0.5306
O 0.5451 0.6913 0.9719
O 0.1520 0.4551 0.9679
O 0.3129 0.8513 0.9694
O 0.5437 0.8504 0.4696
O 0.3113 0.4631 0.4701
O 0.1516 0.6934 0.4687
O 0.1168 0.6346 0.3622
O 0.5124 0.8793 0.3634
O 0.3616 0.4818 0.3627
O 0.1181 0.4815 0.8618
O 0.3621 0.8813 0.8621
O 0.5099 0.6359 0.8647
O 0.0268 0.8265 0.4115
O 0.8030 0.9759 0.4102
O 0.1763 0.1977 0.4129
O 0.0270 0.1986 0.9105
O 0.1769 0.9800 0.9126
O 0.8022 0.8277 0.9107
O 0.9711 0.1660 0.5895
O 0.1853 0.0257 0.5888
O 0.8300 0.8081 0.5893
O 0.9664 0.8109 0.0909
O 0.8290 0.0201 0.0892
O 0.1850 0.1647 0.0892
O 0.6885 0.1658 0.7434
O 0.4799 0.3162 0.7443
O 0.8328 0.5172 0.7419
O 0.6850 0.5214 0.2445
O 0.8324 0.3122 0.2434
O 0.4826 0.1656 0.2438
O 0.6380 0.5056 0.9198
O 0.8621 0.3550 0.9222
O 0.4935 0.1385 0.9205
O 0.6397 0.1339 0.4211
O 0.4927 0.3562 0.4207
O 0.8617 0.5050 0.4231
O 0.3615 0.5011 0.0785
O 0.1462 0.6554 0.0795
O 0.5151 0.8613 0.0788
O 0.3491 0.8538 0.5793
O 0.5105 0.6450 0.5791
O 0.1382 0.4853 0.5786
O 0.3174 0.8343 0.2564
O 0.5211 0.6880 0.2545
O 0.1643 0.4794 0.2544
O 0.3154 0.4821 0.7559
O 0.1641 0.6832 0.7545
O 0.5222 0.8347 0.7542



Spin magnetization readings, ordered: 0.0, 0.0, 0.0 μB per cell
Energy of formation from the pure elements readings, ordered: -2397, -2126, -2218 meV per atom